(1)
A plane-wave DFT calculation with PBE was carried out for a relaxed structure of Ba2DyMgSbO6.

```
Ba2DyMgSbO6
1.0
6.5138 -0.3501 3.1890
1.8501 5.1636 3.1696
0.0226 -0.0054 6.3350
Ba Dy Mg Sb O
2 1 1 1 6
Direct
0.8354 0.7221 0.7221
0.0457 0.3194 0.3194
0.0833 0.9723 0.9723
0.6510 0.1197 0.1197
0.4117 0.5288 0.5288
0.2204 0.7408 0.7408
0.2328 0.7363 0.2850
0.8062 0.2196 0.7648
0.2328 0.2850 0.7363
0.8099 0.2161 0.2161
0.8062 0.7648 0.2196
```

Output
electronic total energy = -6.27 eV/atom
total energy after the MP2020 corrections = -0.24429 Ha/atom
crystal system = monoclinic
energy above the lowest structure with this stoichiometry = 144 meV per atom
formation enthalpy at 0 K = -2660 meV/atom


(2)
A plane-wave DFT calculation with PBE was carried out for a relaxed structure of Ba2DyMgSbO6.

```
Ba2DyMgSbO6
1.0
6.0803 0.4752 4.2865
2.4763 5.5708 4.2850
0.6745 0.4744 7.4059
Ba Dy Mg Sb O
2 1 1 1 6
Direct
0.8275 0.8265 0.8265
0.2794 0.2780 0.2780
0.0042 0.0038 0.0038
0.5976 0.5966 0.5966
0.4497 0.4496 0.4496
0.2413 0.7694 0.7694
0.2426 0.7095 0.2440
0.7702 0.2402 0.7694
0.2426 0.2440 0.7095
0.7075 0.2433 0.2433
0.7702 0.7694 0.2402
```

Output
electronic total energy = -6.42 eV/atom
total energy after the MP2020 corrections = -0.24957 Ha/atom
crystal system = monoclinic
energy above the lowest structure with this stoichiometry = 0 meV per atom
formation enthalpy at 0 K = -2804 meV/atom


(3)
A plane-wave DFT calculation with PBE was carried out for a relaxed structure of Ba2DyMgSbO6.

```
Ba2DyMgSbO6
1.0
5.8247 0.3505 3.1386
2.2720 5.3747 3.1386
0.0000 0.0000 6.2771
Ba Dy Mg Sb O
2 1 1 1 6
Direct
0.8071 0.8071 0.6929
0.1929 0.1929 0.3071
0.0000 0.0000 0.0000
0.5000 0.5000 0.0000
0.5000 0.5000 0.5000
0.2666 0.7334 0.7678
0.2666 0.7334 0.2322
0.7334 0.2666 0.7678
0.2420 0.2420 0.7580
0.7334 0.2666 0.2322
0.7580 0.7580 0.2420
```

Output
electronic total energy = -6.17 eV/atom
total energy after the MP2020 corrections = -0.24048 Ha/atom
crystal system = orthorhombic
energy above the lowest structure with this stoichiometry = 247 meV per atom
formation enthalpy at 0 K = -2556 meV/atom


Among the records above, which one has the highest formation enthalpy at 0 K?
number 3


Look up the electronic total energy of the first one.
-6.27 eV/atom


Which of these has the lowest total energy after the MP2020 corrections?
number 2